Density functional theory data (meta-GGA r2SCAN) for a relaxed LiMnRhO4 crystal.

Lattice parameters (Å, degrees): 5.8660 5.8660 5.8660 121.47 117.82 90.65
Positions (direct):
Li 0.3748 0.1248 0.2500
Li 0.6252 0.8752 0.7500
Mn 0.0000 0.0000 0.5000
Mn 0.0000 0.5000 0.0000
Rh 0.0000 0.5000 0.5000
Rh 0.5000 0.5000 0.0000
O 0.2093 0.7467 0.4625
O 0.2158 0.2533 0.9625
O 0.2298 0.2452 0.5154
O 0.2298 0.7144 0.9846
O 0.7702 0.2856 0.0154
O 0.7702 0.7548 0.4846
O 0.7842 0.7467 0.0375
O 0.7907 0.2533 0.5375

The volume comes out at 10.2 A^3/atom. The value obtained for the formation enthalpy at 0 K is -173 kJ/mol of atoms. The theoretical density comes out at 5.30 g/cm3. The calculation puts the total magnetic moment at 0.4286 μB per atom. The calculation puts the calculated total energy at -11.092 eV per atom.

---

Density functional theory data (meta-GGA r2SCAN) for a relaxed Li2MnSi3O8 crystal.

Lattice parameters (Å, degrees): 6.8785 9.7156 10.1855 90.00 90.91 89.99
Positions (direct):
O 0.4388 0.3684 0.6504
Li 0.4956 0.6113 0.1579
O 0.1477 0.3670 0.9728
O 0.2795 0.0788 0.6130
Li 0.9792 0.8514 0.9258
O 0.5383 0.1712 0.3781
O 0.7863 0.4263 0.3781
O 0.2795 0.0788 0.1129
Mn 0.5196 0.1847 0.5755
O 0.7550 0.1032 0.1699
O 0.9618 0.6712 0.8718
Li 0.5208 0.3514 0.8243
O 0.2204 0.5788 0.1370
Si 0.7231 0.0915 0.3240
O 0.9185 0.1656 0.3973
Li 0.9792 0.8514 0.4258
O 0.3520 0.8671 0.7774
O 0.1477 0.3670 0.4728
O 0.5815 0.6657 0.3526
O 0.0629 0.3377 0.2189
O 0.4389 0.3684 0.1504
Si 0.2813 0.9162 0.6287
Li 0.5208 0.3514 0.3243
Si 0.9820 0.3264 0.8663
O 0.9185 0.1656 0.8973
O 0.4373 0.8378 0.0312
O 0.0613 0.8683 0.5995
Li 0.0045 0.1114 0.0924
Si 0.2188 0.4163 0.1214
O 0.5382 0.1712 0.8781
Mn 0.9803 0.6847 0.1744
O 0.7450 0.6032 0.5800
O 0.7549 0.1032 0.6699
O 0.7137 0.9263 0.8717
O 0.2204 0.5788 0.6370
O 0.0628 0.3377 0.7189
O 0.4373 0.8378 0.5312
Li 0.0045 0.1115 0.5925
Mn 0.5196 0.1847 0.0755
O 0.0613 0.8683 0.0995
O 0.7450 0.6032 0.0800
O 0.7137 0.9263 0.3717
Si 0.7230 0.0915 0.8240
Mn 0.9803 0.6847 0.6744
Si 0.5180 0.8265 0.3837
O 0.3520 0.8671 0.2774
O 0.5815 0.6657 0.8527
Si 0.5180 0.8265 0.8837
Si 0.7770 0.5915 0.9259
Si 0.9820 0.3264 0.3663
Si 0.2813 0.9162 0.1286
O 0.9618 0.6712 0.3718
Si 0.2187 0.4163 0.6214
Si 0.7770 0.5915 0.4258
Li 0.4955 0.6113 0.6579
O 0.7863 0.4263 0.8782

The volume comes out at 12.2 A^3/atom. The value obtained for the formation enthalpy at 0 K is -261 kJ/mol of atoms. The theoretical density comes out at 2.74 g/cm3. The calculation puts the total magnetic moment at 0.3571 μB per atom. The calculation puts the calculated total energy at -9.385 eV per atom.

---

Density functional theory data (meta-GGA r2SCAN) for a relaxed Li4Ti2Mn3O10 crystal.

Lattice parameters (Å, degrees): 6.5135 7.8858 7.9789 82.00 66.94 89.40
Positions (direct):
Li 0.0946 0.2128 0.2370
Li 0.1916 0.9109 0.4024
Li 0.2538 0.2587 0.5175
Li 0.3163 0.5740 0.6030
Li 0.6837 0.4260 0.3970
Li 0.7462 0.7413 0.4825
Li 0.8084 0.0891 0.5976
Li 0.9054 0.7872 0.7630
Ti 0.1659 0.5679 0.3191
Ti 0.3458 0.9452 0.6839
Ti 0.6542 0.0548 0.3161
Ti 0.8341 0.4321 0.6809
Mn 0.0000 0.5000 0.0000
Mn 0.0339 0.8502 0.1110
Mn 0.4621 0.6424 0.8846
Mn 0.5000 0.0000 0.0000
Mn 0.5379 0.3576 0.1154
Mn 0.9661 0.1498 0.8890
O 0.0256 0.6530 0.5442
O 0.0874 0.0115 0.6525
O 0.0915 0.3699 0.7638
O 0.2049 0.7186 0.8355
O 0.2138 0.0492 0.9370
O 0.2816 0.4457 0.0732
O 0.2889 0.7838 0.1652
O 0.3990 0.1346 0.2331
O 0.4062 0.4746 0.3565
O 0.4733 0.8522 0.4606
O 0.5267 0.1478 0.5394
O 0.5938 0.5254 0.6435
O 0.6010 0.8654 0.7669
O 0.7111 0.2162 0.8348
O 0.7184 0.5543 0.9268
O 0.7862 0.9508 0.0630
O 0.7951 0.2814 0.1645
O 0.9085 0.6301 0.2362
O 0.9126 0.9885 0.3475
O 0.9744 0.3470 0.4558

The volume comes out at 9.8 A^3/atom. The value obtained for the formation enthalpy at 0 K is -248 kJ/mol of atoms. The theoretical density comes out at 3.99 g/cm3. The calculation puts the total magnetic moment at 0.6842 μB per atom. The calculation puts the calculated total energy at -9.892 eV per atom.

---

Density functional theory data (meta-GGA r2SCAN) for a relaxed LiMnVO4 crystal.

Lattice parameters (Å, degrees): 5.1830 5.1830 6.2918 90.00 90.00 112.66
Positions (direct):
Li 0.1631 0.8369 0.7500
Li 0.8369 0.1631 0.2500
Mn 0.5000 0.5000 0.0000
Mn 0.5000 0.5000 0.5000
V 0.1449 0.8551 0.2500
V 0.8551 0.1449 0.7500
O 0.2213 0.2594 0.7500
O 0.2594 0.2213 0.2500
O 0.2586 0.7414 0.0279
O 0.2586 0.7414 0.4721
O 0.7414 0.2586 0.5279
O 0.7414 0.2586 0.9721
O 0.7406 0.7787 0.7500
O 0.7787 0.7406 0.2500

The volume comes out at 11.1 A^3/atom. The value obtained for the formation enthalpy at 0 K is -237 kJ/mol of atoms. The theoretical density comes out at 3.76 g/cm3. The calculation puts the total magnetic moment at 0.7143 μB per atom. The calculation puts the calculated total energy at -10.322 eV per atom.

---

Density functional theory data (meta-GGA r2SCAN) for a relaxed Li2Mn3WO8 crystal.

Lattice parameters (Å, degrees): 5.9126 5.9126 9.7109 90.00 90.00 120.00
Positions (direct):
Li 0.0000 0.0000 0.0000
Li 0.0000 0.0000 0.5000
Li 0.3333 0.6667 0.4235
Li 0.6667 0.3333 0.9235
Mn 0.1698 0.3395 0.7278
Mn 0.1698 0.8302 0.7278
Mn 0.3395 0.1698 0.2278
Mn 0.6605 0.8302 0.7278
Mn 0.8302 0.1698 0.2278
Mn 0.8302 0.6605 0.2278
W 0.3333 0.6667 0.0018
W 0.6667 0.3333 0.5018
O 0.0000 0.0000 0.3123
O 0.0000 0.0000 0.8123
O 0.0381 0.5190 0.8683
O 0.1717 0.3434 0.1009
O 0.1717 0.8283 0.1009
O 0.3333 0.6667 0.6302
O 0.3434 0.1717 0.6009
O 0.4810 0.5190 0.8683
O 0.4810 0.9619 0.8683
O 0.5190 0.0381 0.3683
O 0.5190 0.4810 0.3683
O 0.6566 0.8283 0.1009
O 0.6667 0.3333 0.1302
O 0.8283 0.1717 0.6009
O 0.8283 0.6566 0.6009
O 0.9619 0.4810 0.3683

The volume comes out at 10.5 A^3/atom. The value obtained for the formation enthalpy at 0 K is -215 kJ/mol of atoms. The theoretical density comes out at 5.54 g/cm3. The calculation puts the total magnetic moment at 0.9286 μB per atom. The calculation puts the calculated total energy at -12.800 eV per atom.

---

Density functional theory data (meta-GGA r2SCAN) for a relaxed Li6MnS4 crystal.

Lattice parameters (Å, degrees): 8.0142 8.0142 5.7566 90.00 90.00 90.00
Positions (direct):
Li 0.0225 0.5225 0.2500
Li 0.0225 0.9775 0.2500
Li 0.2500 0.2500 0.2104
Li 0.2500 0.2500 0.7104
Li 0.4775 0.5225 0.2500
Li 0.4775 0.9775 0.2500
Li 0.5225 0.0225 0.7500
Li 0.5225 0.4775 0.7500
Li 0.7500 0.7500 0.2896
Li 0.7500 0.7500 0.7896
Li 0.9775 0.0225 0.7500
Li 0.9775 0.4775 0.7500
Mn 0.2500 0.7500 0.7500
Mn 0.7500 0.2500 0.2500
S 0.0078 0.2500 0.4672
S 0.2500 0.0078 0.9672
S 0.2500 0.4922 0.9672
S 0.4922 0.2500 0.4672
S 0.5078 0.7500 0.5328
S 0.7500 0.5078 0.0328
S 0.7500 0.9922 0.0328
S 0.9922 0.7500 0.5328

The volume comes out at 16.8 A^3/atom. The value obtained for the formation enthalpy at 0 K is -140 kJ/mol of atoms. The theoretical density comes out at 2.02 g/cm3. The calculation puts the total magnetic moment at 0.4545 μB per atom. The calculation puts the calculated total energy at -7.011 eV per atom.

---

Density functional theory data (meta-GGA r2SCAN) for a relaxed Li2MoO3 crystal.

Lattice parameters (Å, degrees): 4.9306 4.9306 5.2241 99.43 99.43 116.90
Positions (direct):
Li 0.0000 0.0000 0.0000
Li 0.1619 0.8381 0.5000
Li 0.5000 0.5000 0.5000
Li 0.8381 0.1619 0.5000
Mo 0.3582 0.6418 0.0000
Mo 0.6418 0.3582 0.0000
O 0.0830 0.4288 0.2239
O 0.2409 0.2409 0.7287
O 0.4288 0.0830 0.2239
O 0.5712 0.9170 0.7761
O 0.7591 0.7591 0.2713
O 0.9170 0.5712 0.7761

The volume comes out at 9.0 A^3/atom. The value obtained for the formation enthalpy at 0 K is -214 kJ/mol of atoms. The theoretical density comes out at 4.87 g/cm3. The calculation puts the total magnetic moment at 0.0020 μB per atom. The calculation puts the calculated total energy at -10.344 eV per atom. The energy above the lowest structure with this stoichiometry comes out at 0.005 eV/atom.

---

Density functional theory data (meta-GGA r2SCAN) for a relaxed LiMo2O4 crystal.

Lattice parameters (Å, degrees): 5.8191 5.8191 6.0841 121.50 121.50 63.07
Positions (direct):
Li 0.0000 0.0000 0.0000
Li 0.2491 0.2491 0.7502
Mo 0.1643 0.6278 0.3966
Mo 0.6041 0.6041 0.3726
Mo 0.6042 0.6042 0.8362
Mo 0.6278 0.1643 0.3966
O 0.3426 0.3426 0.1121
O 0.3429 0.3429 0.5749
O 0.4113 0.8344 0.1230
O 0.4264 0.8886 0.6577
O 0.8344 0.4113 0.1230
O 0.8775 0.8775 0.5895
O 0.8776 0.8776 0.1662
O 0.8886 0.4264 0.6577

The volume comes out at 10.4 A^3/atom. The value obtained for the formation enthalpy at 0 K is -202 kJ/mol of atoms. The theoretical density comes out at 6.01 g/cm3. The calculation puts the total magnetic moment at 0.0000 μB per atom. The calculation puts the calculated total energy at -13.295 eV per atom.